Below is a relaxed structure of SrCa7Mn6Fe2O20, with properties calculated at the GGA+U level.

Computed properties:
Calculated formation energy = -2502.7 meV/atom
SG = P1

Cell and atoms, written as POSCAR:
```
SrCa7Mn6Fe2O20
1.0
-0.0002 0.0085 10.9360
11.1416 0.0080 -0.0002
-5.5597 15.3553 -5.4561
Sr Ca Mn Fe O
4 28 24 8 80
direct
0.3083 0.5607 0.6099 Sr
0.0578 0.2979 0.6108 Sr
0.5598 0.2991 0.6111 Sr
0.4477 0.2004 0.8895 Sr
0.3046 0.0642 0.1079 Ca
0.3022 0.0602 0.6039 Ca
0.3056 0.5656 0.1085 Ca
0.8060 0.0638 0.1077 Ca
0.8062 0.0614 0.6064 Ca
0.8069 0.5646 0.1083 Ca
0.8074 0.5631 0.6060 Ca
0.1994 0.4355 0.3916 Ca
0.1973 0.4375 0.8952 Ca
0.1980 0.9360 0.3918 Ca
0.1983 0.9358 0.8933 Ca
0.6983 0.4357 0.3926 Ca
0.6997 0.4383 0.8954 Ca
0.6997 0.9366 0.3921 Ca
0.7001 0.9382 0.8934 Ca
0.0562 0.2941 0.1082 Ca
0.0555 0.7929 0.1076 Ca
0.0555 0.7948 0.6061 Ca
0.5561 0.2937 0.1084 Ca
0.5563 0.7943 0.1086 Ca
0.5566 0.7947 0.6064 Ca
0.4481 0.2072 0.3916 Ca
0.4499 0.7062 0.3926 Ca
0.4494 0.7071 0.8948 Ca
0.9482 0.2059 0.3917 Ca
0.9506 0.2060 0.8922 Ca
0.9489 0.7061 0.3923 Ca
0.9477 0.7072 0.8930 Ca
0.0054 0.9993 0.4992 Mn
0.0034 0.4997 0.4975 Mn
0.5052 0.4988 0.4971 Mn
0.2560 0.2510 0.0016 Mn
0.2531 0.2477 0.4961 Mn
0.2546 0.7495 0.4981 Mn
0.7543 0.2484 0.4985 Mn
0.7553 0.7499 0.4992 Mn
0.1096 0.0957 0.2495 Mn
0.1079 0.0931 0.7511 Mn
0.1101 0.5977 0.2508 Mn
0.1079 0.6018 0.7515 Mn
0.6096 0.0964 0.2509 Mn
0.6131 0.0937 0.7486 Mn
0.6093 0.5976 0.2513 Mn
0.6165 0.6027 0.7524 Mn
0.3590 0.4043 0.2488 Mn
0.3626 0.4058 0.7526 Mn
0.3592 0.9022 0.2504 Mn
0.3571 0.9021 0.7478 Mn
0.8591 0.4036 0.2492 Mn
0.8632 0.4039 0.7510 Mn
0.8612 0.9029 0.2510 Mn
0.8594 0.9004 0.7488 Mn
0.0064 0.0024 0.0015 Fe
0.0054 0.4981 0.9992 Fe
0.5055 0.0007 0.0018 Fe
0.5046 0.9984 0.4980 Fe
0.5058 0.5006 0.0020 Fe
0.2550 0.7506 0.0006 Fe
0.7566 0.2504 0.0011 Fe
0.7565 0.7510 0.0013 Fe
0.1226 0.1164 0.4843 O
0.1248 0.1225 0.9874 O
0.1227 0.6231 0.4862 O
0.1238 0.6210 0.9892 O
0.6228 0.1182 0.4850 O
0.6271 0.1190 0.9923 O
0.6239 0.6215 0.4879 O
0.6245 0.6218 0.9897 O
0.1396 0.3797 0.0158 O
0.1316 0.3741 0.5037 O
0.1355 0.8808 0.0122 O
0.1348 0.8789 0.5096 O
0.6367 0.3819 0.0148 O
0.6365 0.3807 0.5088 O
0.6348 0.8791 0.0125 O
0.6360 0.8776 0.5104 O
0.3714 0.1159 0.4878 O
0.3710 0.1182 0.9910 O
0.3745 0.6187 0.4862 O
0.3739 0.6182 0.9898 O
0.8712 0.1152 0.4853 O
0.8742 0.1171 0.9864 O
0.8717 0.6206 0.4875 O
0.8740 0.6178 0.9880 O
0.3848 0.3829 0.0153 O
0.3829 0.3781 0.5053 O
0.3858 0.8824 0.0124 O
0.3844 0.8799 0.5098 O
0.8864 0.3832 0.0128 O
0.8787 0.3802 0.5075 O
0.8864 0.8838 0.0133 O
0.8853 0.8813 0.5115 O
0.0825 0.0987 0.1334 O
0.0796 0.0858 0.6300 O
0.0827 0.5956 0.1361 O
0.0733 0.5905 0.6340 O
0.5809 0.0959 0.1371 O
0.5830 0.0848 0.6323 O
0.5809 0.5970 0.1371 O
0.5773 0.5902 0.6329 O
0.4490 0.4056 0.3668 O
0.4483 0.4097 0.8664 O
0.4452 0.9047 0.3655 O
0.4439 0.9093 0.8639 O
0.9415 0.4069 0.3638 O
0.9543 0.4007 0.8680 O
0.9444 0.9056 0.3675 O
0.9474 0.9051 0.8637 O
0.3275 0.2853 0.1300 O
0.3221 0.2948 0.6332 O
0.3298 0.7908 0.1352 O
0.3264 0.7944 0.6314 O
0.8323 0.2894 0.1356 O
0.8218 0.2851 0.6292 O
0.8329 0.7890 0.1358 O
0.8273 0.7893 0.6319 O
0.1975 0.2105 0.3670 O
0.1949 0.2154 0.8718 O
0.1947 0.7100 0.3665 O
0.1953 0.7135 0.8666 O
0.6947 0.2090 0.3664 O
0.6913 0.2081 0.8639 O
0.6957 0.7106 0.3675 O
0.7002 0.7157 0.8662 O
0.4273 0.0725 0.2502 O
0.4289 0.0638 0.7412 O
0.4298 0.5766 0.2503 O
0.4362 0.5739 0.7576 O
0.9250 0.0698 0.2501 O
0.9199 0.0681 0.7493 O
0.9251 0.5741 0.2503 O
0.9283 0.5781 0.7496 O
0.1731 0.4309 0.2501 O
0.1863 0.4391 0.7584 O
0.1789 0.9235 0.2499 O
0.1792 0.9196 0.7500 O
0.6777 0.4272 0.2502 O
0.6838 0.4412 0.7591 O
0.6745 0.9278 0.2502 O
0.6759 0.9223 0.7499 O
```

---

Below is a relaxed structure of Sr5Ca3MnFe7O20, with properties calculated at the GGA+U level.

Computed properties:
Calculated formation energy = -2397.6 meV/atom
SG = P1

Cell and atoms, written as POSCAR:
```
Sr5Ca3MnFe7O20
1.0
-2.5810 0.9487 10.7477
-6.7518 8.9039 -2.4089
-7.3172 -14.5500 -6.2392
Sr Ca Mn Fe O
20 12 4 28 80
direct
0.3067 0.0615 0.6089 Sr
0.3060 0.5590 0.6081 Sr
0.8072 0.0650 0.6095 Sr
0.8094 0.5617 0.6103 Sr
0.1941 0.4332 0.3865 Sr
0.1974 0.4392 0.8918 Sr
0.6949 0.4339 0.3870 Sr
0.6944 0.9345 0.3868 Sr
0.6996 0.9379 0.8950 Sr
0.0592 0.2981 0.6112 Sr
0.0569 0.7961 0.6088 Sr
0.5584 0.3006 0.6116 Sr
0.5561 0.7965 0.6080 Sr
0.4442 0.2029 0.3869 Sr
0.4479 0.2046 0.8928 Sr
0.4441 0.7027 0.3861 Sr
0.4487 0.7023 0.8938 Sr
0.9451 0.2026 0.3866 Sr
0.9483 0.2065 0.8930 Sr
0.9450 0.7031 0.3863 Sr
0.3029 0.0667 0.1056 Ca
0.3026 0.5686 0.1054 Ca
0.8024 0.0679 0.1060 Ca
0.8024 0.5678 0.1049 Ca
0.1968 0.9330 0.3917 Ca
0.2004 0.9353 0.8988 Ca
0.7009 0.4391 0.8962 Ca
0.0531 0.2880 0.1067 Ca
0.0537 0.7882 0.1070 Ca
0.5522 0.2884 0.1057 Ca
0.5527 0.7877 0.1060 Ca
0.9535 0.7114 0.8979 Ca
0.1118 0.6020 0.7541 Mn
0.6155 0.5995 0.7538 Mn
0.3672 0.4066 0.7521 Mn
0.3594 0.9036 0.7537 Mn
0.0088 0.0017 0.0057 Fe
0.0028 0.9987 0.4963 Fe
0.0067 0.5022 0.0036 Fe
0.0029 0.4998 0.4996 Fe
0.5067 0.0027 0.0058 Fe
0.5021 0.9998 0.4971 Fe
0.5075 0.5012 0.0040 Fe
0.5035 0.4996 0.4996 Fe
0.2578 0.2528 0.0060 Fe
0.2528 0.2476 0.4984 Fe
0.2562 0.7532 0.0045 Fe
0.2519 0.7494 0.4980 Fe
0.7585 0.2554 0.0070 Fe
0.7537 0.2499 0.4996 Fe
0.7577 0.7507 0.0035 Fe
0.7535 0.7487 0.4989 Fe
0.1029 0.0841 0.2454 Fe
0.1116 0.0850 0.7541 Fe
0.1027 0.5896 0.2440 Fe
0.6017 0.0852 0.2438 Fe
0.6123 0.0933 0.7523 Fe
0.6028 0.5864 0.2439 Fe
0.3522 0.4080 0.2438 Fe
0.3503 0.9080 0.2460 Fe
0.8526 0.4084 0.2439 Fe
0.8599 0.4178 0.7564 Fe
0.8543 0.9070 0.2435 Fe
0.8626 0.9067 0.7527 Fe
0.1231 0.1160 0.4863 O
0.1267 0.1182 0.9901 O
0.1222 0.6213 0.4891 O
0.1229 0.6257 0.9924 O
0.6236 0.1222 0.4909 O
0.6272 0.1256 0.9946 O
0.6230 0.6219 0.4911 O
0.6296 0.6208 0.9937 O
0.1382 0.3815 0.0189 O
0.1294 0.3750 0.5042 O
0.1381 0.8829 0.0174 O
0.1309 0.8777 0.5038 O
0.6391 0.3827 0.0175 O
0.6314 0.3763 0.5060 O
0.6379 0.8819 0.0180 O
0.6318 0.8775 0.5074 O
0.3695 0.1144 0.4866 O
0.3735 0.1182 0.9926 O
0.3723 0.6202 0.4902 O
0.3774 0.6220 0.9968 O
0.8742 0.1193 0.4912 O
0.8768 0.1199 0.9931 O
0.8725 0.6189 0.4892 O
0.8749 0.6172 0.9891 O
0.3892 0.3847 0.0189 O
0.3803 0.3776 0.5042 O
0.3870 0.8870 0.0183 O
0.3800 0.8797 0.5048 O
0.8869 0.3867 0.0171 O
0.8802 0.3777 0.5051 O
0.8891 0.8828 0.0158 O
0.8819 0.8798 0.5067 O
0.0914 0.1055 0.1406 O
0.0873 0.0915 0.6429 O
0.0889 0.6085 0.1391 O
0.0721 0.5853 0.6346 O
0.5891 0.1087 0.1403 O
0.5809 0.0962 0.6400 O
0.5917 0.6092 0.1409 O
0.5763 0.5840 0.6358 O
0.4380 0.4075 0.3562 O
0.4486 0.4145 0.8697 O
0.4417 0.9071 0.3577 O
0.4432 0.9134 0.8683 O
0.9370 0.4068 0.3559 O
0.9499 0.4030 0.8644 O
0.9408 0.9072 0.3564 O
0.9472 0.8949 0.8622 O
0.3384 0.2808 0.1401 O
0.3253 0.2970 0.6333 O
0.3357 0.7835 0.1415 O
0.3204 0.8021 0.6366 O
0.8416 0.2822 0.1401 O
0.8336 0.3019 0.6428 O
0.8423 0.7816 0.1396 O
0.8316 0.7937 0.6398 O
0.1871 0.2020 0.3554 O
0.1953 0.2098 0.8614 O
0.1868 0.7079 0.3555 O
0.1955 0.7138 0.8703 O
0.6872 0.1985 0.3561 O
0.6927 0.2174 0.8612 O
0.6874 0.7000 0.3568 O
0.6948 0.7084 0.8686 O
0.4244 0.0567 0.2393 O
0.4430 0.0539 0.7521 O
0.4254 0.5578 0.2386 O
0.4425 0.5675 0.7516 O
0.9246 0.0582 0.2386 O
0.9372 0.0588 0.7522 O
0.9261 0.5583 0.2390 O
0.9295 0.5749 0.7606 O
0.1759 0.4344 0.2398 O
0.1931 0.4494 0.7529 O
0.1747 0.9299 0.2473 O
0.1822 0.9313 0.7600 O
0.6756 0.4312 0.2390 O
0.6897 0.4393 0.7599 O
0.6770 0.9311 0.2392 O
0.6901 0.9415 0.7532 O
```

---

Below is a relaxed structure of Sr3Ca5Mn4Fe4O24, with properties calculated at the GGA+U level.

Computed properties:
Calculated formation energy = -2316.1 meV/atom
SG = Cm

Cell and atoms, written as POSCAR:
```
Sr3Ca5Mn4Fe4O24
1.0
-6.7984 -3.4042 1.3816
2.0630 -5.9461 -4.4838
3.0349 -3.5764 6.1349
Sr Ca Mn Fe O
3 5 4 4 24
direct
0.2506 0.7495 0.7493 Sr
0.2505 0.2505 0.7494 Sr
0.7495 0.2506 0.7493 Sr
0.2509 0.7491 0.2509 Ca
0.2509 0.2509 0.2509 Ca
0.7492 0.7492 0.7491 Ca
0.7491 0.7491 0.2509 Ca
0.7491 0.2509 0.2509 Ca
0.9991 0.5007 0.4980 Mn
0.5007 0.5007 0.0026 Mn
0.5007 0.9991 0.4980 Mn
0.5007 0.5007 0.4979 Mn
0.9992 0.9992 0.0024 Fe
0.9992 0.5008 0.0023 Fe
0.9992 0.9992 0.4977 Fe
0.5008 0.9992 0.0023 Fe
0.2461 0.9993 0.0064 O
0.2532 0.5004 0.0067 O
0.2525 0.9994 0.4930 O
0.2509 0.5004 0.4928 O
0.7537 0.9972 0.0042 O
0.7468 0.5032 0.0042 O
0.7475 0.9970 0.4959 O
0.7491 0.5033 0.4958 O
0.9971 0.9971 0.7539 O
0.9969 0.5034 0.7465 O
0.9992 0.9992 0.2464 O
0.9994 0.5005 0.2534 O
0.5034 0.9969 0.7465 O
0.5034 0.5034 0.7489 O
0.5005 0.9994 0.2534 O
0.5005 0.5005 0.2509 O
0.9972 0.7537 0.0042 O
0.9993 0.2461 0.0064 O
0.9970 0.7475 0.4959 O
0.9994 0.2525 0.4930 O
0.5032 0.7468 0.0042 O
0.5004 0.2532 0.0067 O
0.5033 0.7491 0.4958 O
0.5004 0.2509 0.4928 O
```

---

Below is a relaxed structure of Sr5Ca3Mn7FeO24, with properties calculated at the GGA+U level.

Computed properties:
Calculated formation energy = -2410.1 meV/atom
SG = Cm

Cell and atoms, written as POSCAR:
```
Sr5Ca3Mn7FeO24
1.0
-4.7539 1.5849 -5.8872
0.7193 -7.2681 -2.5352
-6.0524 -2.1067 4.3185
Sr Ca Mn Fe O
5 3 7 1 24
direct
0.2498 0.7503 0.7502 Sr
0.2497 0.2497 0.7503 Sr
0.7502 0.7502 0.7504 Sr
0.7503 0.2498 0.7502 Sr
0.7503 0.7503 0.2497 Sr
0.2499 0.7499 0.2501 Ca
0.2502 0.2502 0.2500 Ca
0.7499 0.2499 0.2501 Ca
0.0008 0.4995 0.0025 Mn
0.0008 0.0008 0.4984 Mn
0.0007 0.4995 0.4985 Mn
0.4995 0.0008 0.0025 Mn
0.4996 0.4996 0.0021 Mn
0.4995 0.0007 0.4985 Mn
0.4995 0.4995 0.4983 Mn
0.0008 0.0008 0.0025 Fe
0.2548 0.0009 0.0064 O
0.2507 0.4992 0.0077 O
0.2506 0.0004 0.4923 O
0.2500 0.4995 0.4922 O
0.7452 0.0029 0.0046 O
0.7493 0.4964 0.0045 O
0.7493 0.0038 0.4950 O
0.7500 0.4963 0.4954 O
0.0008 0.0008 0.7453 O
0.0004 0.4993 0.7492 O
0.0026 0.0026 0.2549 O
0.0036 0.4965 0.2506 O
0.4993 0.0004 0.7492 O
0.4995 0.4995 0.7500 O
0.4965 0.0036 0.2506 O
0.4964 0.4964 0.2500 O
0.0029 0.7452 0.0046 O
0.0009 0.2548 0.0064 O
0.0038 0.7493 0.4950 O
0.0004 0.2506 0.4923 O
0.4964 0.7493 0.0045 O
0.4992 0.2507 0.0077 O
0.4963 0.7500 0.4954 O
0.4995 0.2500 0.4922 O
```

---

Below is a relaxed structure of Sr3CaMn2FeO10, with properties calculated at the GGA+U level.

Computed properties:
Calculated formation energy = -2473.5 meV/atom
SG = I4mm

Cell and atoms, written as POSCAR:
```
Sr3CaMn2FeO10
1.0
-1.9317 1.9317 14.0200
1.9317 -1.9317 14.0200
1.9317 1.9317 -14.0200
Sr Ca Mn Fe O
3 1 2 1 10
direct
0.2980 0.2980 0.0000 Sr
0.7013 0.7013 0.0000 Sr
0.4312 0.4312 0.0000 Sr
0.5693 0.5693 0.0000 Ca
0.8597 0.8597 0.0000 Mn
0.1396 0.1396 0.0000 Mn
0.0010 0.0010 0.0000 Fe
0.8614 0.3614 0.5000 O
0.3614 0.8614 0.5000 O
0.1366 0.6366 0.5000 O
0.6366 0.1366 0.5000 O
0.5021 0.0021 0.5000 O
0.0021 0.5021 0.5000 O
0.7906 0.7906 0.0000 O
0.2084 0.2084 0.0000 O
0.9303 0.9303 0.0000 O
0.0704 0.0704 0.0000 O
```

---

Below is a relaxed structure of Sr6Ca2Mn5Fe3O24, with properties calculated at the GGA+U level.

Computed properties:
Calculated formation energy = -2357.7 meV/atom
SG = P2

Cell and atoms, written as POSCAR:
```
Sr6Ca2Mn5Fe3O24
1.0
-5.2832 0.8743 5.6045
-0.2252 -7.6904 0.9874
5.7034 0.5129 5.2964
Sr Ca Mn Fe O
6 2 5 3 24
direct
0.2506 0.7495 0.2510 Sr
0.2505 0.2505 0.2510 Sr
0.7495 0.2506 0.2511 Sr
0.2505 0.7495 0.7490 Sr
0.2506 0.2505 0.7490 Sr
0.7495 0.7494 0.7489 Sr
0.7492 0.7492 0.2514 Ca
0.7492 0.2508 0.7486 Ca
0.5014 0.5000 0.0000 Mn
0.9988 0.0000 0.5000 Mn
0.9984 0.5000 0.5000 Mn
0.5014 0.0000 0.5000 Mn
0.5013 0.5000 0.5000 Mn
0.9985 0.0000 0.0000 Fe
0.9985 0.5000 0.0000 Fe
0.5013 0.0000 0.0000 Fe
0.9964 0.9978 0.2527 O
0.9966 0.5022 0.2545 O
0.5034 0.9978 0.2545 O
0.5037 0.5028 0.2508 O
0.9964 0.0022 0.7473 O
0.9966 0.4978 0.7455 O
0.5034 0.0022 0.7455 O
0.5037 0.4972 0.7492 O
0.2481 0.0000 0.0000 O
0.2528 0.5000 0.0000 O
0.7517 0.0000 0.0000 O
0.7470 0.5000 0.0000 O
0.2497 0.0000 0.5000 O
0.2505 0.5000 0.5000 O
0.7504 0.0000 0.5000 O
0.7496 0.5000 0.5000 O
0.9967 0.7519 0.0020 O
0.9967 0.2481 0.9980 O
0.5034 0.7471 0.0021 O
0.5034 0.2529 0.9979 O
0.9965 0.7503 0.4973 O
0.9965 0.2497 0.5027 O
0.5037 0.7496 0.4971 O
0.5037 0.2504 0.5029 O
```